A.
The following is a GGA+U calculation of LiV2P5O16 after structural relaxation, from the Materials Project database.

total magnetic moment: 8.00 Bohr magnetons per cell

Structure (POSCAR):
```
LiV2P5O16
1.0
6.816 0.000 0.000
0.000 5.082 0.000
0.000 0.073 18.861
O V P Li
32 4 10 2
Cartesian
2.667 0.192 1.580 O
2.020 1.159 12.091 O
0.119 2.999 7.341 O
3.009 2.718 2.036 O
2.484 4.752 7.969 O
6.271 4.757 1.302 O
1.510 1.860 9.698 O
3.806 2.754 11.467 O
6.697 3.035 16.771 O
3.898 2.394 16.644 O
4.018 4.206 14.883 O
6.439 0.305 8.114 O
0.963 0.827 5.709 O
0.257 2.001 2.096 O
1.031 4.339 3.672 O
4.332 4.789 17.399 O
5.785 4.376 13.102 O
2.797 4.170 5.452 O
4.070 1.152 13.410 O
2.746 1.115 3.980 O
2.088 4.120 16.306 O
5.853 0.863 15.140 O
4.728 4.084 6.876 O
0.545 4.794 10.732 O
6.558 2.038 11.526 O
2.918 2.358 7.213 O
5.272 3.461 9.254 O
4.796 1.123 2.660 O
5.305 1.823 0.267 O
0.376 0.342 17.545 O
1.544 3.497 18.685 O
4.149 0.229 11.010 O
5.573 3.767 11.183 V
5.597 1.379 17.105 V
1.219 1.343 7.675 V
1.243 3.731 1.753 V
5.052 0.101 14.138 P
3.588 1.317 11.891 P
0.861 1.198 10.932 P
0.877 3.992 17.396 P
1.763 0.064 4.708 P
3.173 3.824 6.974 P
3.228 1.280 2.461 P
5.955 1.162 1.502 P
3.643 3.861 16.404 P
5.939 3.956 7.965 P
2.375 3.747 9.982 Li
4.441 3.710 0.552 Li
```


B.
The following is a GGA+U calculation of LiV2P5O16 after structural relaxation, from the Materials Project database.

total magnetic moment: 8.00 Bohr magnetons per cell

Structure (POSCAR):
```
LiV2P5O16
1.0
-8.663 0.506 3.906
-0.478 -7.575 -0.079
3.703 -4.140 8.749
O P Li V
32 10 2 4
Cartesian
-3.628 -3.991 2.873 O
-6.478 -0.801 2.928 O
-1.235 -8.588 9.506 O
-0.981 -6.228 10.326 O
-4.060 -6.402 9.695 O
-2.756 -4.163 5.916 O
-4.013 -0.787 3.621 O
-1.174 -3.730 10.265 O
-6.289 -4.483 5.641 O
0.860 -4.537 8.408 O
-5.132 -5.519 7.590 O
3.168 -5.491 8.032 O
1.001 -6.287 3.484 O
-2.433 -1.694 5.623 O
-2.681 -6.087 1.700 O
-3.430 -6.497 5.286 O
-0.954 -5.945 5.750 O
-4.368 -7.950 7.669 O
-6.166 -3.678 2.890 O
-2.003 -3.740 0.969 O
-6.185 -6.976 5.719 O
-5.236 -2.219 5.947 O
-7.636 -2.418 5.035 O
-0.443 -3.116 5.416 O
-1.543 -2.894 7.716 O
1.737 -4.927 6.018 O
-2.665 -6.010 7.649 O
-7.126 -2.928 7.465 O
-5.474 -7.871 11.613 O
-1.220 -4.606 3.205 O
0.853 -9.349 7.755 O
1.104 -6.877 7.517 O
-1.736 -2.902 6.215 P
-4.072 -6.576 8.219 P
-1.253 -7.744 10.756 P
1.736 -8.196 8.120 P
-6.583 -2.909 6.043 P
-5.009 -0.749 2.482 P
-6.381 -5.760 6.571 P
1.750 -5.358 7.495 P
-2.333 -4.716 2.225 P
-2.402 -5.715 6.064 P
-4.642 -10.276 9.636 Li
-1.256 -8.512 2.900 Li
-0.450 -10.405 8.917 V
-4.025 -6.433 11.786 V
-4.562 -8.203 5.562 V
0.317 -4.724 4.619 V
```


Energies in meV per atom, measured from the most stable structure: A 0; B 66.


A.
The following is a GGA+U calculation of LiV2P2O8 after structural relaxation, from the Materials Project database.

total magnetic moment: 10.00 Bohr magnetons per cell

Structure (POSCAR):
```
LiV2P2O8
1.0
9.083 -0.001 0.000
0.000 6.431 -0.002
0.000 -0.002 4.936
O V P Li
16 4 4 2
Cartesian
1.089 2.866 1.651 O
7.975 6.112 3.215 O
5.632 0.346 0.816 O
7.986 4.824 1.047 O
1.090 0.346 1.651 O
5.631 2.867 0.816 O
3.445 4.822 1.418 O
5.703 1.606 3.542 O
1.161 1.605 3.862 O
3.188 1.607 2.192 O
3.434 3.532 4.187 O
3.434 6.113 4.189 O
7.976 3.531 3.213 O
1.382 4.822 4.722 O
7.730 1.607 0.275 O
5.924 4.822 2.679 O
9.079 6.348 4.932 V
4.537 6.350 2.469 V
4.536 3.295 2.469 V
9.078 3.295 4.934 V
6.135 1.607 0.133 P
1.593 1.607 2.334 P
7.484 4.822 2.532 P
2.943 4.822 4.869 P
7.566 1.605 2.640 Li
3.024 1.606 4.763 Li
```


B.
The following is a GGA+U calculation of LiV2P2O8 after structural relaxation, from the Materials Project database.

total magnetic moment: 10.00 Bohr magnetons per cell

Structure (POSCAR):
```
LiV2P2O8
1.0
10.329 0.000 0.000
0.000 4.839 0.039
0.000 0.050 5.932
O P Li V
16 4 2 4
Cartesian
0.939 3.616 1.798 O
6.606 1.405 3.045 O
6.104 3.692 4.193 O
9.508 1.398 4.709 O
4.343 1.072 1.243 O
5.980 3.585 1.809 O
8.820 3.620 5.873 O
8.273 3.333 2.994 O
1.441 1.064 2.907 O
0.815 3.723 4.182 O
7.311 1.552 5.895 O
4.384 1.008 4.725 O
3.655 3.688 0.117 O
2.146 0.918 0.056 O
3.109 3.975 2.997 O
9.549 1.461 1.227 O
6.795 2.921 2.973 P
3.566 0.366 0.011 P
8.731 2.104 5.941 P
1.630 4.387 3.017 P
7.744 4.864 4.587 Li
2.580 2.444 1.404 Li
0.270 4.738 0.053 V
5.434 2.570 5.938 V
10.084 2.296 2.989 V
4.919 0.173 2.963 V
```


Energies in meV per atom, measured from the most stable structure: A 30; B 0.


A.
The following is a GGA+U calculation of LiV4P7O24 after structural relaxation, from the Materials Project database.

total magnetic moment: 16.00 Bohr magnetons per cell

Structure (POSCAR):
```
LiV4P7O24
1.0
-2.642 9.660 -2.140
-8.219 -3.960 4.946
8.599 -0.393 6.561
O V P Li
48 8 14 2
Cartesian
0.934 1.036 1.326 O
-1.206 2.730 7.758 O
-4.199 5.071 5.133 O
-0.317 0.246 8.473 O
-8.259 -0.296 4.187 O
4.046 -1.136 8.700 O
-6.308 6.443 0.667 O
-4.845 -2.454 6.757 O
-1.105 -2.040 9.144 O
5.996 5.603 5.180 O
0.685 1.593 5.976 O
-7.238 1.987 5.509 O
1.936 0.236 4.234 O
2.363 0.812 8.390 O
5.460 2.209 6.067 O
1.541 3.712 7.434 O
3.765 -0.018 6.455 O
-7.175 4.491 5.394 O
-0.305 -0.608 5.105 O
1.280 -1.738 8.618 O
-5.764 -1.950 4.467 O
-0.969 5.272 7.502 O
-1.958 5.915 4.262 O
-1.057 2.577 1.609 O
-2.296 0.487 6.302 O
-1.945 5.061 0.894 O
3.501 7.257 4.900 O
4.912 0.816 3.973 O
-2.948 3.714 3.391 O
0.033 4.820 3.065 O
-2.127 3.820 5.733 O
-1.969 -2.066 6.273 O
-1.294 0.035 1.865 O
2.582 7.760 2.609 O
-2.703 -0.739 4.207 O
0.441 6.045 5.159 O
-3.804 1.595 1.933 O
-0.136 1.487 3.634 O
-3.196 4.270 8.041 O
-3.543 7.045 0.749 O
-7.723 3.098 3.300 O
4.975 3.320 3.858 O
-4.079 1.875 7.844 O
1.817 3.431 1.523 O
-0.294 7.373 3.094 O
-6.027 5.325 2.912 O
-4.625 4.495 0.976 O
-1.157 7.347 0.223 O
-3.083 3.336 1.370 V
-2.278 0.987 8.238 V
0.266 6.854 6.968 V
0.821 1.971 7.997 V
3.620 -0.761 4.674 V
0.015 4.319 1.129 V
-2.529 -1.548 2.399 V
-5.883 6.067 4.693 V
3.740 7.221 3.411 P
-2.877 4.652 4.555 P
3.717 0.231 7.960 P
-0.452 1.237 2.072 P
-6.002 -1.914 5.956 P
0.138 -1.018 9.288 P
-1.894 -0.773 5.513 P
-0.368 6.080 3.854 P
-1.810 4.070 7.295 P
-5.980 5.076 1.407 P
-7.821 3.221 4.788 P
-2.401 6.325 0.079 P
5.559 2.086 4.579 P
0.615 0.654 4.812 P
2.313 4.029 4.460 Li
-4.576 1.278 4.907 Li
```


B.
The following is a GGA+U calculation of LiV4P7O24 after structural relaxation, from the Materials Project database.

total magnetic moment: 16.00 Bohr magnetons per cell

Structure (POSCAR):
```
LiV4P7O24
1.0
-8.401 4.599 -3.760
-2.874 -9.811 1.745
3.111 4.320 9.386
O P Li V
48 14 2 8
Cartesian
-3.587 -3.241 4.872 O
-8.756 -0.827 -2.286 O
-5.211 5.782 5.290 O
-3.854 -2.301 0.169 O
-1.017 4.649 5.181 O
-9.041 -3.913 1.898 O
-0.785 1.040 1.561 O
-5.296 1.477 -0.316 O
-7.148 -5.540 2.190 O
-6.831 1.077 2.734 O
-7.603 -4.629 -0.121 O
-5.442 5.953 2.760 O
-5.778 -0.779 4.159 O
-1.760 -0.026 8.561 O
-0.464 -2.489 8.591 O
-6.020 2.743 4.462 O
0.224 1.017 7.408 O
-2.869 -2.368 7.687 O
-2.666 -0.083 5.682 O
-2.387 -0.113 3.211 O
-2.723 -6.844 4.611 O
-1.334 -1.968 4.637 O
-2.954 -6.674 2.081 O
-2.613 6.473 6.647 O
-0.561 3.738 7.492 O
-7.700 1.598 -1.221 O
-6.850 0.501 6.096 O
-1.315 -1.392 1.275 O
-4.311 1.410 7.202 O
-5.046 -1.316 6.471 O
-7.781 -1.270 2.753 O
-7.380 -1.932 5.810 O
-1.326 -4.383 5.227 O
-2.145 -3.634 2.909 O
-6.838 3.491 2.144 O
-0.384 0.379 4.618 O
-2.105 3.243 1.860 O
-6.404 -0.865 -1.190 O
-8.389 -1.908 -0.037 O
-5.499 -0.808 1.688 O
-4.578 2.349 2.499 O
0.592 -0.064 9.657 O
-5.552 -7.365 0.724 O
-6.059 -4.134 5.511 O
0.876 3.022 5.473 O
-6.425 3.656 -0.815 O
-1.740 -4.548 8.186 O
-3.118 0.424 0.900 O
-1.659 -0.414 4.634 P
-6.506 -0.477 2.737 P
-4.628 6.245 3.985 P
-7.719 -1.630 -1.386 P
-6.298 2.138 -1.332 P
-1.894 -0.091 1.682 P
0.038 4.115 6.176 P
-6.271 -0.800 5.689 P
-0.446 0.738 8.757 P
-6.063 2.495 2.955 P
-3.537 -7.136 3.386 P
-1.866 -3.029 8.702 P
-8.202 -5.006 1.195 P
-2.102 -3.386 4.416 P
-3.272 3.512 3.584 Li
-4.893 -4.403 3.787 Li
-0.891 -3.453 1.382 V
-3.693 2.426 0.667 V
-4.731 -0.593 -0.192 V
1.182 0.917 5.749 V
-7.274 2.562 5.989 V
-4.472 -3.318 6.704 V
-9.347 -1.809 1.622 V
-3.434 -0.299 7.563 V
```


Energies in meV per atom, measured from the most stable structure: A 15; B 0.


A.
The following is a GGA+U calculation of LiP2WO8 after structural relaxation, from the Materials Project database.

total magnetic moment: 4.00 Bohr magnetons per cell

Structure (POSCAR):
```
LiP2WO8
1.0
-0.649 5.162 -6.164
-4.747 -1.373 -0.650
-6.269 11.103 9.958
O P W Li
32 8 4 4
Cartesian
-8.560 14.151 3.446 O
-2.690 6.562 -0.748 O
-4.945 10.085 -0.742 O
-5.380 3.700 -5.031 O
-1.591 2.781 -3.628 O
-3.123 4.694 -3.934 O
-3.232 2.228 2.117 O
-8.419 8.489 0.858 O
-6.720 4.807 3.886 O
-6.285 11.193 8.175 O
-8.779 10.677 2.558 O
-4.985 4.619 -0.974 O
-6.410 7.652 3.055 O
-6.680 10.273 4.118 O
-5.255 7.241 0.090 O
-4.846 12.026 0.823 O
-5.719 5.721 -3.132 O
-5.946 9.171 6.276 O
-10.180 10.219 5.149 O
-6.224 9.975 1.369 O
-8.975 8.330 3.892 O
-8.433 12.664 1.027 O
-1.485 4.673 -2.005 O
-8.542 10.198 7.078 O
-6.819 2.866 2.321 O
-3.246 6.404 2.286 O
-2.886 4.215 0.586 O
-5.670 1.419 0.536 O
-3.105 0.741 -0.302 O
-5.995 13.473 2.608 O
-5.441 4.918 1.775 O
-10.074 12.111 6.772 O
-4.897 10.404 0.721 P
-2.271 3.324 1.658 P
-1.690 4.275 -3.567 P
-9.394 11.569 1.486 P
-9.975 10.618 6.711 P
-6.768 4.488 2.423 P
-6.103 4.771 -2.004 P
-5.562 10.121 5.149 P
-4.216 5.863 0.475 W
-7.075 9.224 8.070 W
-4.590 5.669 -4.926 W
-7.449 9.030 2.669 W
-2.166 1.524 -2.048 Li
-9.499 13.368 5.193 Li
-5.188 6.182 3.998 Li
-6.477 8.711 -0.854 Li
```


B.
The following is a GGA+U calculation of LiP2WO8 after structural relaxation, from the Materials Project database.

total magnetic moment: 1.00 Bohr magnetons per cell

Structure (POSCAR):
```
LiP2WO8
1.0
2.684 4.061 0.000
-2.684 4.061 0.000
0.000 0.596 7.014
O W P Li
8 1 2 1
Cartesian
0.000 2.466 6.406 O
1.268 4.609 2.089 O
1.268 4.109 4.925 O
-1.268 4.109 4.925 O
-1.268 4.609 2.089 O
0.000 6.481 3.169 O
0.000 2.237 3.845 O
0.000 6.252 0.608 O
0.000 0.298 3.507 W
0.000 3.184 5.114 P
0.000 5.533 1.900 P
0.000 0.000 0.000 Li
```


Energies in meV per atom, measured from the most stable structure: A 10; B 0.